An optimized crystal structure of MgSb. Source: the Materials Project database, functional GGA-PBE. Values from VASP.

## Properties
SG: Cm (8)
ΔH_f (0 K) (eV per formula unit): -0.45
Total energy (Ry per atom): -0.2201
Crystal system: monoclinic

```
&SYSTEM
  ibrav = 0, nat = 6, ntyp = 2
/
ATOMIC_SPECIES
Mg 24.30 Mg.upf
Sb 121.76 Sb.upf
CELL_PARAMETERS angstrom
-3.1254 -0.4540 -5.0532
-0.6628 -2.5926 -5.3243
-5.2725 -6.2554 1.4515
ATOMIC_POSITIONS crystal
Mg 0.0013 0.0013 0.3820
Mg 0.7806 0.7806 0.0359
Mg 0.6621 0.6621 0.6790
Sb 0.0579 0.0579 0.0042
Sb 0.2680 0.2680 0.3584
Sb 0.3968 0.3968 0.7072
```